The following is a DFT calculation (PBE) of Na10Ca2Hf6Si7S5O48 after structural relaxation.

```
data_Na10Ca2Hf6Si7S5O48
_cell_length_a 9.180
_cell_length_b 15.891
_cell_length_c 23.111
_cell_angle_alpha 89.93
_cell_angle_beta 89.99
_cell_angle_gamma 89.97
_symmetry_space_group_name_H-M 'P 1'
_symmetry_Int_Tables_number 1
_symmetry_space_group_name_Hall 'P 1'
loop_
_atom_site_label
_atom_site_fract_x
_atom_site_fract_y
_atom_site_fract_z
Na1 0.000 0.000 0.000
Na2 0.003 0.326 0.329
Na3 0.054 0.026 0.329
Na4 0.165 0.512 0.582
Na5 0.165 0.847 0.920
Na6 0.166 0.186 0.253
Na7 0.174 0.185 0.751
Na8 0.177 0.503 0.089
Na9 0.178 0.842 0.419
Na10 0.319 0.022 0.837
Na11 0.353 0.668 0.171
Na12 0.367 0.328 0.835
Na13 0.370 0.699 0.833
Na14 0.479 0.200 0.334
Na15 0.482 0.828 0.336
Na16 0.495 0.868 0.004
Na17 0.498 0.527 0.666
Na18 0.499 0.169 0.670
Na19 0.529 0.522 0.339
Na20 0.662 0.357 0.421
Na21 0.667 0.020 0.083
Na22 0.667 0.343 0.918
Na23 0.667 0.679 0.251
Na24 0.670 0.004 0.589
Na25 0.686 0.689 0.754
Na26 0.790 0.526 0.829
Na27 0.815 0.854 0.163
Na28 0.843 0.823 0.836
Na29 0.856 0.521 0.162
Na30 0.988 0.021 0.662
Ca1 0.170 0.853 0.568
Ca2 0.175 0.185 0.398
Ca3 0.180 0.179 0.901
Ca4 0.668 0.677 0.402
Ca5 0.676 0.353 0.068
Ca6 0.679 0.686 0.899
Hf1 0.168 0.853 0.070
Hf2 0.169 0.185 0.606
Hf3 0.169 0.851 0.766
Hf4 0.170 0.181 0.106
Hf5 0.170 0.517 0.729
Hf6 0.180 0.848 0.266
Hf7 0.181 0.521 0.934
Hf8 0.185 0.514 0.229
Hf9 0.198 0.521 0.437
Hf10 0.654 0.018 0.937
Hf11 0.662 0.016 0.729
Hf12 0.664 0.021 0.435
Hf13 0.668 0.346 0.766
Hf14 0.671 0.021 0.229
Hf15 0.674 0.356 0.570
Hf16 0.677 0.351 0.266
Hf17 0.680 0.687 0.104
Hf18 0.685 0.681 0.602
Si1 0.028 0.999 0.170
Si2 0.029 0.704 0.167
Si3 0.034 0.664 0.832
Si4 0.315 0.666 0.331
Si5 0.319 0.034 0.001
Si6 0.320 0.997 0.666
Si7 0.326 0.373 0.333
Si8 0.379 0.351 0.666
Si9 0.383 0.012 0.332
Si10 0.464 0.513 0.831
Si11 0.468 0.851 0.165
Si12 0.520 0.873 0.833
Si13 0.527 0.498 0.166
Si14 0.527 0.532 0.501
Si15 0.534 0.166 0.832
Si16 0.813 0.164 0.332
Si17 0.819 0.205 0.666
Si18 0.822 0.497 0.669
Si19 0.827 0.835 0.998
Si20 0.873 0.849 0.668
Si21 0.973 0.349 0.168
S1 0.018 0.036 0.499
S2 0.023 0.333 0.501
S3 0.027 0.376 0.833
S4 0.316 0.334 0.999
S5 0.324 0.702 0.668
S6 0.374 0.681 0.002
S7 0.474 0.183 0.502
S8 0.523 0.203 0.167
S9 0.532 0.834 0.499
S10 0.820 0.876 0.333
S11 0.830 0.535 0.999
S12 0.880 0.182 0.000
S13 0.887 0.515 0.332
S14 0.962 0.015 0.832
S15 0.971 0.680 0.499
O1 0.002 0.849 0.010
O2 0.045 0.288 0.446
O3 0.049 0.768 0.223
O4 0.052 0.935 0.828
O5 0.054 0.599 0.496
O6 0.055 0.089 0.551
O7 0.055 0.937 0.114
O8 0.058 0.428 0.886
O9 0.062 0.088 0.834
O10 0.070 0.435 0.179
O11 0.071 0.751 0.505
O12 0.073 0.077 0.446
O13 0.077 0.602 0.778
O14 0.080 0.267 0.159
O15 0.081 0.952 0.502
O16 0.089 0.418 0.498
O17 0.090 0.416 0.781
O18 0.092 0.610 0.175
O19 0.093 0.286 0.550
O20 0.095 0.292 0.838
O21 0.097 0.954 0.228
O22 0.100 0.092 0.159
O23 0.107 0.615 0.889
O24 0.110 0.748 0.113
O25 0.116 0.756 0.827
O26 0.240 0.093 0.658
O27 0.240 0.760 0.328
O28 0.241 0.955 0.724
O29 0.243 0.420 0.997
O30 0.244 0.061 0.941
O31 0.249 0.421 0.279
O32 0.252 0.617 0.390
O33 0.253 0.289 0.050
O34 0.257 0.280 0.336
O35 0.259 0.937 0.011
O36 0.260 0.737 0.616
O37 0.264 0.615 0.676
O38 0.275 0.099 0.054
O39 0.276 0.609 0.275
O40 0.279 0.928 0.328
O41 0.281 0.436 0.673
O42 0.281 0.604 0.997
O43 0.282 0.266 0.655
O44 0.282 0.757 0.009
O45 0.284 0.290 0.944
O46 0.286 0.097 0.335
O47 0.290 0.433 0.390
O48 0.293 0.754 0.721
O49 0.303 0.943 0.610
O50 0.340 0.869 0.826
O51 0.344 0.526 0.499
O52 0.353 0.499 0.888
O53 0.354 0.520 0.176
O54 0.356 0.176 0.832
O55 0.357 0.519 0.774
O56 0.362 0.195 0.163
O57 0.364 0.833 0.222
O58 0.369 0.862 0.108
O59 0.373 0.844 0.504
O60 0.375 0.172 0.552
O61 0.392 0.194 0.448
O62 0.458 0.694 0.949
O63 0.470 0.669 0.053
O64 0.475 0.344 0.003
O65 0.478 0.330 0.725
O66 0.486 0.692 0.664
O67 0.491 0.368 0.614
O68 0.491 0.998 0.390
O69 0.492 0.677 0.331
O70 0.493 0.020 0.675
O71 0.495 0.019 0.278
O72 0.500 0.026 0.998
O73 0.505 0.368 0.327
O74 0.542 0.443 0.110
O75 0.552 0.929 0.893
O76 0.554 0.255 0.220
O77 0.561 0.597 0.834
O78 0.563 0.790 0.444
O79 0.564 0.103 0.498
O80 0.568 0.428 0.828
O81 0.568 0.595 0.556
O82 0.568 0.764 0.158
O83 0.571 0.109 0.775
O84 0.572 0.255 0.509
O85 0.582 0.929 0.173
O86 0.585 0.116 0.176
O87 0.585 0.564 0.439
O88 0.586 0.779 0.834
O89 0.587 0.237 0.116
O90 0.595 0.436 0.510
O91 0.595 0.787 0.549
O92 0.597 0.116 0.889
O93 0.597 0.924 0.781
O94 0.605 0.454 0.224
O95 0.606 0.919 0.497
O96 0.608 0.261 0.829
O97 0.608 0.593 0.159
O98 0.730 0.256 0.327
O99 0.737 0.248 0.611
O100 0.738 0.115 0.389
O101 0.739 0.589 0.659
O102 0.744 0.456 0.727
O103 0.744 0.785 0.054
O104 0.752 0.792 0.338
O105 0.752 0.931 0.995
O106 0.754 0.110 0.674
O107 0.759 0.915 0.280
O108 0.768 0.450 0.003
O109 0.768 0.765 0.659
O110 0.773 0.575 0.946
O111 0.776 0.934 0.680
O112 0.777 0.102 0.277
O113 0.777 0.252 0.006
O114 0.786 0.587 0.334
O115 0.787 0.437 0.614
O116 0.787 0.929 0.385
O117 0.792 0.265 0.723
O118 0.793 0.588 0.051
O119 0.795 0.435 0.328
O120 0.799 0.100 0.996
O121 0.804 0.787 0.939
O122 0.850 0.003 0.175
O123 0.851 0.696 0.157
O124 0.854 0.030 0.496
O125 0.860 0.672 0.833
O126 0.863 0.340 0.510
O127 0.866 0.372 0.829
O128 0.868 0.334 0.227
O129 0.871 0.024 0.780
O130 0.872 0.673 0.551
O131 0.873 0.005 0.885
O132 0.875 0.373 0.114
O133 0.883 0.692 0.447
O134 0.966 0.194 0.947
O135 0.971 0.873 0.614
O136 0.974 0.523 0.279
O137 0.979 0.173 0.051
O138 0.979 0.504 0.384
O139 0.980 0.834 0.727
O140 0.981 0.872 0.330
O141 0.987 0.174 0.335
O142 0.993 0.530 0.996
O143 0.996 0.192 0.656
O144 0.997 0.509 0.674
```

Calculated values
magnetic moment	0.0000	μB per atom
ΔH_f (0 K)	-2903	meV/atom